A plane-wave DFT calculation with r²SCAN was carried out for an optimized crystal structure of Li4Ti5O12.

Properties
SG = C2/c
ΔH_f (0 K) = -3069 meV per atom
Electronic total energy = -0.368 Ha/atom

Lattice parameters (Å, degrees): 5.8960 5.8960 13.1687 102.60 102.60 89.81
Positions (direct):
Li1 0.0000 0.5000 0.5000
Li2 0.1290 0.8710 0.7500
Li3 0.1977 0.4626 0.9164
Li4 0.4626 0.1977 0.4164
Li5 0.5000 0.0000 0.0000
Li6 0.5374 0.8023 0.5836
Li7 0.8023 0.5374 0.0836
Li8 0.8710 0.1290 0.2500
Ti1 0.0000 0.0000 0.0000
Ti2 0.0000 0.0000 0.5000
Ti3 0.1658 0.6573 0.3378
Ti4 0.3294 0.3383 0.6571
Ti5 0.3383 0.3294 0.1571
Ti6 0.3427 0.8342 0.1622
Ti7 0.6573 0.1658 0.8378
Ti8 0.6617 0.6706 0.8429
Ti9 0.6706 0.6617 0.3429
Ti10 0.8342 0.3427 0.6622
O1 0.0822 0.1020 0.6583
O2 0.0865 0.5485 0.6686
O3 0.1020 0.0822 0.1583
O4 0.1187 0.5888 0.1768
O5 0.2242 0.7583 0.4873
O6 0.2391 0.2412 0.5107
O7 0.2412 0.2391 0.0107
O8 0.2417 0.7758 0.0127
O9 0.4112 0.8813 0.3232
O10 0.4141 0.4385 0.3279
O11 0.4385 0.4141 0.8279
O12 0.4515 0.9135 0.8314
O13 0.5485 0.0865 0.1686
O14 0.5615 0.5859 0.1721
O15 0.5859 0.5615 0.6721
O16 0.5888 0.1187 0.6768
O17 0.7583 0.2242 0.9873
O18 0.7588 0.7609 0.9893
O19 0.7609 0.7588 0.4893
O20 0.7758 0.2417 0.5127
O21 0.8813 0.4112 0.8232
O22 0.8980 0.9178 0.8417
O23 0.9135 0.4515 0.3314
O24 0.9178 0.8980 0.3417


A plane-wave DFT calculation with r²SCAN was carried out for an optimized crystal structure of LiMnF4.

Properties
SG = Cmmm
ΔH_f (0 K) = -2969 meV per atom
Electronic total energy = -0.290 Ha/atom

Lattice parameters (Å, degrees): 4.5049 4.5049 3.1068 90.00 90.00 92.48
Positions (direct):
Li1 0.0000 0.0000 0.0000
Mn1 0.5000 0.5000 0.5000
F1 0.2089 0.2089 0.5000
F2 0.3036 0.6964 0.0000
F3 0.6964 0.3036 0.0000
F4 0.7911 0.7911 0.5000


A plane-wave DFT calculation with r²SCAN was carried out for an optimized crystal structure of NdB4.

Properties
SG = P4/mbm
ΔH_f (0 K) = -632 meV per atom
Electronic total energy = -0.455 Ha/atom

Lattice parameters (Å, degrees): 7.2393 7.2393 4.1206 90.00 90.00 90.00
Positions (direct):
Nd1 0.1830 0.3170 0.0000
Nd2 0.3170 0.8170 0.0000
Nd3 0.6830 0.1830 0.0000
Nd4 0.8170 0.6830 0.0000
B1 0.0000 0.0000 0.2050
B2 0.0000 0.0000 0.7950
B3 0.0387 0.8263 0.5000
B4 0.0882 0.5882 0.5000
B5 0.1737 0.0387 0.5000
B6 0.3263 0.5387 0.5000
B7 0.4118 0.0882 0.5000
B8 0.4613 0.3263 0.5000
B9 0.5000 0.5000 0.2050
B10 0.5000 0.5000 0.7950
B11 0.5387 0.6737 0.5000
B12 0.5882 0.9118 0.5000
B13 0.6737 0.4613 0.5000
B14 0.8263 0.9613 0.5000
B15 0.9118 0.4118 0.5000
B16 0.9613 0.1737 0.5000


A plane-wave DFT calculation with r²SCAN was carried out for an optimized crystal structure of Mg2FeH6.

Properties
SG = Fm-3m
ΔH_f (0 K) = -317 meV per atom
Electronic total energy = -0.189 Ha/atom

Lattice parameters (Å, degrees): 4.4937 4.4937 4.4937 60.00 60.00 60.00
Positions (direct):
Mg1 0.2500 0.2500 0.2500
Mg2 0.7500 0.7500 0.7500
Fe1 0.0000 0.0000 0.0000
H1 0.2430 0.2430 0.7570
H2 0.2430 0.7570 0.2430
H3 0.2430 0.7570 0.7570
H4 0.7570 0.2430 0.2430
H5 0.7570 0.2430 0.7570
H6 0.7570 0.7570 0.2430


A plane-wave DFT calculation with r²SCAN was carried out for an optimized crystal structure of Na2MoO4.

Properties
Offset from the most stable computed form = 0 meV per atom
SG = Fd-3m
ΔH_f (0 K) = -2271 meV per atom
Electronic total energy = -0.383 Ha/atom

Lattice parameters (Å, degrees): 6.3861 6.3861 6.3861 60.00 60.00 60.00
Positions (direct):
Na1 0.0000 0.0000 0.0000
Na2 0.0000 0.0000 0.5000
Na3 0.0000 0.5000 0.0000
Na4 0.5000 0.0000 0.0000
Mo1 0.3750 0.3750 0.3750
Mo2 0.6250 0.6250 0.6250
O1 0.2617 0.2617 0.2617
O2 0.2617 0.2617 0.7149
O3 0.2617 0.7149 0.2617
O4 0.2851 0.7383 0.7383
O5 0.7149 0.2617 0.2617
O6 0.7383 0.2851 0.7383
O7 0.7383 0.7383 0.2851
O8 0.7383 0.7383 0.7383


A plane-wave DFT calculation with r²SCAN was carried out for an optimized crystal structure of SnPPd5.

Properties
SG = P4/mmm
ΔH_f (0 K) = -545 meV per atom
Electronic total energy = -0.800 Ha/atom

Lattice parameters (Å, degrees): 3.9600 3.9600 6.9890 90.00 90.00 90.00
Positions (direct):
Sn1 0.0000 0.0000 0.0000
P1 0.5000 0.5000 0.5000
Pd1 0.0000 0.5000 0.2993
Pd2 0.0000 0.5000 0.7007
Pd3 0.5000 0.0000 0.2993
Pd4 0.5000 0.0000 0.7007
Pd5 0.5000 0.5000 0.0000


A plane-wave DFT calculation with r²SCAN was carried out for an optimized crystal structure of Pr11In9Ni4.

Properties
SG = Cmmm
ΔH_f (0 K) = -553 meV per atom
Electronic total energy = -0.900 Ha/atom

Lattice parameters (Å, degrees): 13.4215 13.4215 3.7960 90.00 90.00 112.54
Positions (direct):
Pr1 0.0000 0.0000 0.0000
Pr2 0.0786 0.4168 0.0000
Pr3 0.1622 0.8378 0.0000
Pr4 0.3136 0.3136 0.0000
Pr5 0.3751 0.6249 0.0000
Pr6 0.4168 0.0786 0.0000
Pr7 0.5832 0.9214 0.0000
Pr8 0.6249 0.3751 0.0000
Pr9 0.6864 0.6864 0.0000
Pr10 0.8378 0.1622 0.0000
Pr11 0.9214 0.5832 0.0000
In1 0.0824 0.2208 0.5000
In2 0.1640 0.6329 0.5000
In3 0.2208 0.0824 0.5000
In4 0.3671 0.8360 0.5000
In5 0.5000 0.5000 0.5000
In6 0.6329 0.1640 0.5000
In7 0.7792 0.9176 0.5000
In8 0.8360 0.3671 0.5000
In9 0.9176 0.7792 0.5000
Ni1 0.2443 0.4480 0.5000
Ni2 0.4480 0.2443 0.5000
Ni3 0.5520 0.7557 0.5000
Ni4 0.7557 0.5520 0.5000


A plane-wave DFT calculation with r²SCAN was carried out for an optimized crystal structure of Si2Pb3O7.

Properties
SG = R-3c
ΔH_f (0 K) = -2198 meV per atom
Electronic total energy = -0.780 Ha/atom

Lattice parameters (Å, degrees): 14.1745 14.1745 14.1745 41.90 41.90 41.90
Positions (direct):
Si1 0.0556 0.4427 0.6471
Si2 0.0573 0.4444 0.8529
Si3 0.1471 0.9427 0.5556
Si4 0.3529 0.9444 0.5573
Si5 0.4427 0.6471 0.0556
Si6 0.4444 0.8529 0.0573
Si7 0.5556 0.1471 0.9427
Si8 0.5573 0.3529 0.9444
Si9 0.6471 0.0556 0.4427
Si10 0.8529 0.0573 0.4444
Si11 0.9427 0.5556 0.1471
Si12 0.9444 0.5573 0.3529
Pb1 0.0109 0.7953 0.3081
Pb2 0.1597 0.1597 0.1597
Pb3 0.1919 0.7047 0.4891
Pb4 0.2047 0.6919 0.9891
Pb5 0.2500 0.2500 0.2500
Pb6 0.2953 0.5109 0.8081
Pb7 0.3081 0.0109 0.7953
Pb8 0.3403 0.3403 0.3403
Pb9 0.4891 0.1919 0.7047
Pb10 0.5109 0.8081 0.2953
Pb11 0.6597 0.6597 0.6597
Pb12 0.6919 0.9891 0.2047
Pb13 0.7047 0.4891 0.1919
Pb14 0.7500 0.7500 0.7500
Pb15 0.7953 0.3081 0.0109
Pb16 0.8081 0.2953 0.5109
Pb17 0.8403 0.8403 0.8403
Pb18 0.9891 0.2047 0.6919
O1 0.0066 0.3661 0.2496
O2 0.0164 0.9156 0.3945
O3 0.0844 0.6055 0.9836
O4 0.1055 0.5844 0.4836
O5 0.1229 0.3040 0.6229
O6 0.1229 0.8040 0.6229
O7 0.1320 0.3680 0.7500
O8 0.1339 0.4934 0.2504
O9 0.1960 0.3771 0.8771
O10 0.2496 0.0066 0.3661
O11 0.2504 0.1339 0.4934
O12 0.2500 0.8680 0.6320
O13 0.3040 0.6229 0.1229
O14 0.3661 0.2496 0.0066
O15 0.3680 0.7500 0.1320
O16 0.3771 0.8771 0.1960
O17 0.3771 0.8771 0.6960
O18 0.3945 0.0164 0.9156
O19 0.4156 0.5164 0.8945
O20 0.4836 0.1055 0.5844
O21 0.4934 0.2504 0.1339
O22 0.5066 0.7496 0.8661
O23 0.5164 0.8945 0.4156
O24 0.5844 0.4836 0.1055
O25 0.6055 0.9836 0.0844
O26 0.6229 0.1229 0.3040
O27 0.6229 0.1229 0.8040
O28 0.6320 0.2500 0.8680
O29 0.6339 0.7504 0.9934
O30 0.6960 0.3771 0.8771
O31 0.7500 0.1320 0.3680
O32 0.7496 0.8661 0.5066
O33 0.7504 0.9934 0.6339
O34 0.8040 0.6229 0.1229
O35 0.8661 0.5066 0.7496
O36 0.8680 0.6320 0.2500
O37 0.8771 0.1960 0.3771
O38 0.8771 0.6960 0.3771
O39 0.8945 0.4156 0.5164
O40 0.9156 0.3945 0.0164
O41 0.9836 0.0844 0.6055
O42 0.9934 0.6339 0.7504


A plane-wave DFT calculation with r²SCAN was carried out for an optimized crystal structure of Li2Mg.

Properties
SG = C2/m
ΔH_f (0 K) = -24 meV per atom
Electronic total energy = -0.110 Ha/atom

Lattice parameters (Å, degrees): 5.8540 5.8540 7.2796 106.00 106.00 30.79
Positions (direct):
Li1 0.1421 0.1421 0.0335
Li2 0.1931 0.1931 0.6364
Li3 0.8069 0.8069 0.3636
Li4 0.8579 0.8579 0.9665
Mg1 0.4752 0.4752 0.7032
Mg2 0.5248 0.5248 0.2968


A plane-wave DFT calculation with r²SCAN was carried out for an optimized crystal structure of VSi2.

Properties
SG = P6_222
ΔH_f (0 K) = -455 meV per atom
Electronic total energy = -0.404 Ha/atom

Lattice parameters (Å, degrees): 4.5348 4.5348 6.3189 90.00 90.00 120.00
Positions (direct):
V1 0.0000 0.5000 0.1667
V2 0.5000 0.0000 0.5000
V3 0.5000 0.5000 0.8333
Si1 0.1625 0.3250 0.5000
Si2 0.1625 0.8375 0.8333
Si3 0.3250 0.1625 0.1667
Si4 0.6750 0.8375 0.1667
Si5 0.8375 0.1625 0.8333
Si6 0.8375 0.6750 0.5000


A plane-wave DFT calculation with r²SCAN was carried out for an optimized crystal structure of EuIn2.

Properties
SG = P6_3/mmc
ΔH_f (0 K) = -651 meV per atom
Electronic total energy = -1.049 Ha/atom

Lattice parameters (Å, degrees): 4.9956 4.9956 7.8700 90.00 90.00 120.00
Positions (direct):
Eu1 0.0000 0.0000 0.2500
Eu2 0.0000 0.0000 0.7500
In1 0.3333 0.6667 0.0448
In2 0.3333 0.6667 0.4552
In3 0.6667 0.3333 0.5448
In4 0.6667 0.3333 0.9552


A plane-wave DFT calculation with r²SCAN was carried out for an optimized crystal structure of PaO3.

Properties
SG = I4/mmm
ΔH_f (0 K) = -2895 meV per atom
Electronic total energy = -0.977 Ha/atom

Lattice parameters (Å, degrees): 4.0211 4.0211 4.0211 125.62 125.62 80.51
Positions (direct):
Pa1 0.0000 0.0000 0.0000
O1 0.2500 0.7500 0.5000
O2 0.5000 0.5000 0.0000
O3 0.7500 0.2500 0.5000